{"formula": "K2GaHgF6", "functional": "GGA-PBE", "state": "optimized geometry", "lattice": [[3.558, -3.829, -3.534], [3.222, -4.702, 2.705], [-1.771, -5.984, -0.933]], "species": ["K", "F", "F", "Ga", "F", "Hg", "K", "F", "F", "F"], "frac_coords": [[0.250, 0.250, 0.250], [0.784, 0.784, 0.216], [0.784, 0.216, 0.216], [0.000, 0.000, 0.000], [0.216, 0.216, 0.784], [0.500, 0.500, 0.500], [0.750, 0.750, 0.750], [0.216, 0.784, 0.784], [0.216, 0.784, 0.216], [0.784, 0.216, 0.784]], "final_energy_ev_per_atom": -4.0335, "magnetic_moment_mub_per_cell": 0.01, "energy_corrected_mp2020_ev_per_atom": -4.311, "ef_ev_per_atom": -2.607, "vol_a3_per_cell": 177.6}